Lu3In | Materials Project | r²SCAN | relaxed; energy of formation from the pure elements = -0.31 eV per atom; size of the total moment = 0.00 μB per formula unit; final energy = -138.1 eV for the cell shown
1.0
4.7172 0.0000 0.0000
0.0000 4.7172 0.0000
0.0000 0.0000 4.7172
Lu In
3 1
Direct
0.0000 0.0000 0.5000
0.0000 0.5000 0.0000
0.5000 0.0000 0.0000
0.5000 0.5000 0.5000